Entry 1:
# GGA-PBE YLuHg2, relaxed
# * SG: Fm-3m
data_YLuHg2
_cell_length_a 5.229
_cell_length_b 5.229
_cell_length_c 5.229
_cell_angle_alpha 60.00
_cell_angle_beta 60.00
_cell_angle_gamma 60.00
_symmetry_space_group_name_H-M 'P 1'
_symmetry_Int_Tables_number 1
_symmetry_space_group_name_Hall 'P 1'
loop_
_atom_site_label
_atom_site_fract_x
_atom_site_fract_y
_atom_site_fract_z
_atom_site_occupancy
Lu1 0.500 0.500 0.500 1
Hg1 0.250 0.250 0.250 1
Hg2 0.750 0.750 0.750 1
Y1 0.000 0.000 0.000 1

Entry 2:
# GGA-PBE Rb3NpO9, relaxed
# * SG: C2/c
# * distance to the lowest polymorph of the same formula: 0 meV/atom
data_Rb3NpO9
_cell_length_a 8.122
_cell_length_b 8.122
_cell_length_c 7.639
_cell_angle_alpha 83.04
_cell_angle_beta 83.04
_cell_angle_gamma 85.84
_symmetry_space_group_name_H-M 'P 1'
_symmetry_Int_Tables_number 1
_symmetry_space_group_name_Hall 'P 1'
loop_
_atom_site_label
_atom_site_fract_x
_atom_site_fract_y
_atom_site_fract_z
_atom_site_occupancy
Np1 0.000 0.500 0.000 1
Np2 0.500 0.000 0.500 1
O1 0.261 0.808 0.956 1
O2 0.116 0.316 0.115 1
O3 0.648 0.271 0.427 1
O4 0.398 0.602 0.750 1
O5 0.976 0.602 0.211 1
O6 0.684 0.884 0.385 1
O7 0.808 0.261 0.456 1
O8 0.271 0.648 0.927 1
O9 0.352 0.729 0.573 1
O10 0.602 0.398 0.250 1
O11 0.739 0.192 0.044 1
O12 0.316 0.116 0.615 1
O13 0.398 0.024 0.289 1
O14 0.024 0.398 0.789 1
O15 0.729 0.352 0.073 1
O16 0.602 0.976 0.711 1
O17 0.192 0.739 0.544 1
O18 0.884 0.684 0.885 1
Rb1 0.034 0.966 0.250 1
Rb2 0.228 0.424 0.433 1
Rb3 0.576 0.772 0.067 1
Rb4 0.966 0.034 0.750 1
Rb5 0.424 0.228 0.933 1
Rb6 0.772 0.576 0.567 1

Entry 3:
# GGA-PBE K2LiPrCl6, relaxed
# * SG: Fm-3m
data_K2LiPrCl6
_cell_length_a 7.506
_cell_length_b 7.506
_cell_length_c 7.506
_cell_angle_alpha 60.00
_cell_angle_beta 60.00
_cell_angle_gamma 60.00
_symmetry_space_group_name_H-M 'P 1'
_symmetry_Int_Tables_number 1
_symmetry_space_group_name_Hall 'P 1'
loop_
_atom_site_label
_atom_site_fract_x
_atom_site_fract_y
_atom_site_fract_z
_atom_site_occupancy
Cl1 0.742 0.742 0.258 1
Cl2 0.258 0.742 0.742 1
Cl3 0.742 0.258 0.258 1
Cl4 0.258 0.258 0.742 1
Cl5 0.742 0.258 0.742 1
Cl6 0.258 0.742 0.258 1
Pr1 0.000 0.000 0.000 1
Li1 0.500 0.500 0.500 1
K1 0.250 0.250 0.250 1
K2 0.750 0.750 0.750 1

Entry 4:
# GGA-PBE RbNdTe2, relaxed
# * SG: R-3m
data_RbNdTe2
_cell_length_a 4.654
_cell_length_b 4.654
_cell_length_c 8.992
_cell_angle_alpha 75.00
_cell_angle_beta 75.00
_cell_angle_gamma 60.00
_symmetry_space_group_name_H-M 'P 1'
_symmetry_Int_Tables_number 1
_symmetry_space_group_name_Hall 'P 1'
loop_
_atom_site_label
_atom_site_fract_x
_atom_site_fract_y
_atom_site_fract_z
_atom_site_occupancy
Te1 0.265 0.265 0.205 1
Te2 0.735 0.735 0.795 1
Rb1 0.500 0.500 0.500 1
Nd1 0.000 0.000 0.000 1

Entry 5:
# GGA-PBE IrC, relaxed
# * SG: F-43m
# * distance to the lowest polymorph of the same formula: 0 meV/atom
data_IrC
_cell_length_a 3.277
_cell_length_b 3.277
_cell_length_c 3.277
_cell_angle_alpha 60.00
_cell_angle_beta 60.00
_cell_angle_gamma 60.00
_symmetry_space_group_name_H-M 'P 1'
_symmetry_Int_Tables_number 1
_symmetry_space_group_name_Hall 'P 1'
loop_
_atom_site_label
_atom_site_fract_x
_atom_site_fract_y
_atom_site_fract_z
_atom_site_occupancy
C1 0.250 0.250 0.250 1
Ir1 0.000 0.000 0.000 1

Entry 6:
# GGA-PBE InAg3, relaxed
# * SG: P-6m2
data_InAg3
_cell_length_a 3.086
_cell_length_b 3.086
_cell_length_c 9.473
_cell_angle_alpha 90.00
_cell_angle_beta 90.00
_cell_angle_gamma 120.00
_symmetry_space_group_name_H-M 'P 1'
_symmetry_Int_Tables_number 1
_symmetry_space_group_name_Hall 'P 1'
loop_
_atom_site_label
_atom_site_fract_x
_atom_site_fract_y
_atom_site_fract_z
_atom_site_occupancy
In1 0.333 0.667 0.000 1
Ag1 0.667 0.333 0.253 1
Ag2 0.667 0.333 0.747 1
Ag3 0.333 0.667 0.500 1

Entry 7:
# GGA-PBE ErCd6, relaxed
# * SG: Immm
data_ErCd6
_cell_length_a 13.635
_cell_length_b 13.635
_cell_length_c 13.635
_cell_angle_alpha 110.23
_cell_angle_beta 109.63
_cell_angle_gamma 108.55
_symmetry_space_group_name_H-M 'P 1'
_symmetry_Int_Tables_number 1
_symmetry_space_group_name_Hall 'P 1'
loop_
_atom_site_label
_atom_site_fract_x
_atom_site_fract_y
_atom_site_fract_z
_atom_site_occupancy
Cd1 0.500 0.691 0.191 1
Cd2 0.919 0.460 0.141 1
Cd3 0.405 0.000 0.405 1
Cd4 0.000 0.002 0.679 1
Cd5 0.752 0.347 0.405 1
Cd6 0.345 0.404 0.749 1
Cd7 0.222 0.545 0.081 1
Cd8 0.919 0.778 0.460 1
Cd9 0.324 0.002 0.002 1
Cd10 0.464 0.140 0.919 1
Cd11 0.778 0.455 0.919 1
Cd12 0.325 0.091 0.234 1
Cd13 0.000 0.596 0.596 1
Cd14 0.248 0.653 0.595 1
Cd15 0.681 0.222 0.141 1
Cd16 0.464 0.545 0.323 1
Cd17 0.595 0.000 0.595 1
Cd18 0.905 0.759 0.664 1
Cd19 0.319 0.778 0.859 1
Cd20 0.681 0.540 0.460 1
Cd21 0.345 0.596 0.941 1
Cd22 0.655 0.596 0.251 1
Cd23 0.404 0.058 0.653 1
Cd24 0.188 0.500 0.688 1
Cd25 0.915 0.824 0.909 1
Cd26 0.536 0.860 0.081 1
Cd27 0.095 0.759 0.854 1
Cd28 0.459 0.682 0.543 1
Cd29 0.000 0.678 0.002 1
Cd30 0.691 0.191 0.500 1
Cd31 0.319 0.460 0.540 1
Cd32 0.222 0.140 0.677 1
Cd33 0.860 0.084 0.543 1
Cd34 0.085 0.995 0.909 1
Cd35 0.404 0.751 0.347 1
Cd36 0.459 0.916 0.776 1
Cd37 0.541 0.318 0.457 1
Cd38 0.541 0.084 0.224 1
Cd39 0.095 0.241 0.336 1
Cd40 0.085 0.176 0.091 1
Cd41 0.500 0.309 0.809 1
Cd42 0.309 0.809 0.500 1
Cd43 0.742 0.647 0.906 1
Cd44 0.143 0.909 0.234 1
Cd45 0.000 0.404 0.404 1
Cd46 0.324 0.322 0.321 1
Cd47 0.140 0.916 0.457 1
Cd48 0.596 0.942 0.347 1
Cd49 0.590 0.590 0.000 1
Cd50 0.675 0.909 0.766 1
Cd51 0.081 0.222 0.540 1
Cd52 0.000 0.322 0.998 1
Cd53 0.410 0.410 0.000 1
Cd54 0.778 0.860 0.323 1
Cd55 0.059 0.653 0.405 1
Cd56 0.258 0.164 0.906 1
Cd57 0.915 0.005 0.091 1
Cd58 0.676 0.678 0.679 1
Cd59 0.081 0.540 0.859 1
Cd60 0.140 0.682 0.224 1
Cd61 0.676 0.998 0.998 1
Cd62 0.941 0.347 0.595 1
Cd63 0.742 0.836 0.094 1
Cd64 0.258 0.353 0.094 1
Cd65 0.655 0.404 0.059 1
Cd66 0.860 0.318 0.776 1
Cd67 0.536 0.455 0.677 1
Cd68 0.596 0.249 0.653 1
Cd69 0.812 0.500 0.312 1
Cd70 0.857 0.091 0.766 1
Cd71 0.000 0.998 0.321 1
Cd72 0.905 0.241 0.146 1
Er1 0.807 0.105 0.298 1
Er2 0.699 0.190 0.889 1
Er3 0.301 0.190 0.491 1
Er4 0.301 0.810 0.111 1
Er5 0.193 0.895 0.702 1
Er6 0.807 0.509 0.702 1
Er7 0.891 0.698 0.193 1
Er8 0.193 0.491 0.298 1
Er9 0.109 0.302 0.807 1
Er10 0.496 0.302 0.193 1
Er11 0.699 0.810 0.509 1
Er12 0.504 0.698 0.807 1

Entry 8:
# GGA-PBE Li3BiB4O9, relaxed
# * SG: P2_1/m
data_Li3BiB4O9
_cell_length_a 8.679
_cell_length_b 5.716
_cell_length_c 7.471
_cell_angle_alpha 72.88
_cell_angle_beta 90.00
_cell_angle_gamma 90.00
_symmetry_space_group_name_H-M 'P 1'
_symmetry_Int_Tables_number 1
_symmetry_space_group_name_Hall 'P 1'
loop_
_atom_site_label
_atom_site_fract_x
_atom_site_fract_y
_atom_site_fract_z
_atom_site_occupancy
O1 0.250 0.967 0.238 1
O2 0.888 0.264 0.486 1
O3 0.250 0.103 0.520 1
O4 0.059 0.454 0.236 1
O5 0.388 0.736 0.514 1
O6 0.750 0.033 0.762 1
O7 0.607 0.132 0.206 1
O8 0.112 0.736 0.514 1
O9 0.750 0.897 0.480 1
O10 0.612 0.264 0.486 1
O11 0.893 0.132 0.206 1
O12 0.107 0.868 0.794 1
O13 0.441 0.454 0.236 1
O14 0.750 0.763 0.209 1
O15 0.559 0.546 0.764 1
O16 0.250 0.237 0.791 1
O17 0.393 0.868 0.794 1
O18 0.941 0.546 0.764 1
B1 0.750 0.096 0.558 1
B2 0.250 0.904 0.442 1
B3 0.948 0.281 0.310 1
B4 0.250 0.024 0.728 1
B5 0.448 0.719 0.690 1
B6 0.052 0.719 0.690 1
B7 0.552 0.281 0.310 1
B8 0.750 0.976 0.272 1
Li1 0.969 0.211 0.748 1
Li2 0.531 0.211 0.748 1
Li3 0.750 0.562 0.486 1
Li4 0.250 0.438 0.514 1
Li5 0.031 0.789 0.252 1
Li6 0.469 0.789 0.252 1
Bi1 0.250 0.349 0.065 1
Bi2 0.750 0.651 0.935 1

Entry 9:
# GGA-PBE Cs2GaAuI6, relaxed
# * SG: Fm-3m
data_Cs2GaAuI6
_cell_length_a 8.319
_cell_length_b 8.319
_cell_length_c 8.319
_cell_angle_alpha 60.00
_cell_angle_beta 60.00
_cell_angle_gamma 60.00
_symmetry_space_group_name_H-M 'P 1'
_symmetry_Int_Tables_number 1
_symmetry_space_group_name_Hall 'P 1'
loop_
_atom_site_label
_atom_site_fract_x
_atom_site_fract_y
_atom_site_fract_z
_atom_site_occupancy
Cs1 0.750 0.750 0.750 1
Cs2 0.250 0.250 0.250 1
Ga1 0.000 0.000 0.000 1
I1 0.248 0.752 0.752 1
I2 0.248 0.248 0.752 1
I3 0.752 0.248 0.752 1
I4 0.752 0.248 0.248 1
I5 0.248 0.752 0.248 1
I6 0.752 0.752 0.248 1
Au1 0.500 0.500 0.500 1

Entry 10:
# GGA-PBE Ba2SnS4O11, relaxed
# * SG: P-1
data_Ba2SnS4O11
_cell_length_a 7.299
_cell_length_b 5.874
_cell_length_c 17.294
_cell_angle_alpha 102.14
_cell_angle_beta 91.88
_cell_angle_gamma 108.01
_symmetry_space_group_name_H-M 'P 1'
_symmetry_Int_Tables_number 1
_symmetry_space_group_name_Hall 'P 1'
loop_
_atom_site_label
_atom_site_fract_x
_atom_site_fract_y
_atom_site_fract_z
_atom_site_occupancy
O1 0.402 0.477 0.145 1
O2 0.986 0.141 0.753 1
O3 0.184 0.749 0.076 1
O4 0.899 0.740 0.949 1
O5 0.816 0.251 0.924 1
O6 0.160 0.139 0.430 1
O7 0.977 0.277 0.276 1
O8 0.840 0.861 0.570 1
O9 0.784 0.427 0.505 1
O10 0.598 0.523 0.855 1
O11 0.424 0.528 0.702 1
O12 0.101 0.260 0.051 1
O13 0.216 0.573 0.495 1
O14 0.799 0.962 0.157 1
O15 0.014 0.859 0.247 1
O16 0.609 0.811 0.414 1
O17 0.201 0.038 0.843 1
O18 0.586 0.783 0.984 1
O19 0.414 0.217 0.016 1
O20 0.023 0.723 0.724 1
O21 0.391 0.189 0.586 1
O22 0.576 0.472 0.298 1
Sn1 0.640 0.150 0.826 1
Sn2 0.360 0.850 0.174 1
S1 0.007 0.929 0.791 1
S2 0.993 0.071 0.209 1
S3 0.304 0.390 0.451 1
S4 0.478 0.634 0.345 1
S5 0.286 0.242 0.081 1
S6 0.522 0.366 0.655 1
S7 0.696 0.610 0.549 1
S8 0.714 0.758 0.919 1
Ba1 0.041 0.342 0.627 1
Ba2 0.959 0.658 0.373 1
Ba3 0.195 0.528 0.923 1
Ba4 0.805 0.472 0.077 1

Entry 11:
# GGA-PBE CeInCu, relaxed
# * SG: P-6m2
data_CeInCu
_cell_length_a 3.512
_cell_length_b 4.766
_cell_length_c 4.768
_cell_angle_alpha 120.02
_cell_angle_beta 90.00
_cell_angle_gamma 90.00
_symmetry_space_group_name_H-M 'P 1'
_symmetry_Int_Tables_number 1
_symmetry_space_group_name_Hall 'P 1'
loop_
_atom_site_label
_atom_site_fract_x
_atom_site_fract_y
_atom_site_fract_z
_atom_site_occupancy
Ce1 0.000 0.000 0.000 1
Cu1 0.500 0.334 0.667 1
In1 0.500 0.667 0.333 1

Entry 12:
# GGA-PBE CsLu2Cu3Se5, relaxed
# * SG: Cmcm
data_CsLu2Cu3Se5
_cell_length_a 7.614
_cell_length_b 7.614
_cell_length_c 17.121
_cell_angle_alpha 90.00
_cell_angle_beta 90.00
_cell_angle_gamma 148.86
_symmetry_space_group_name_H-M 'P 1'
_symmetry_Int_Tables_number 1
_symmetry_space_group_name_Hall 'P 1'
loop_
_atom_site_label
_atom_site_fract_x
_atom_site_fract_y
_atom_site_fract_z
_atom_site_occupancy
Se1 0.170 0.830 0.930 1
Se2 0.170 0.830 0.570 1
Se3 0.564 0.436 0.113 1
Se4 0.564 0.436 0.387 1
Se5 0.436 0.564 0.613 1
Se6 0.436 0.564 0.887 1
Se7 0.830 0.170 0.070 1
Se8 0.830 0.170 0.430 1
Se9 0.239 0.761 0.250 1
Se10 0.761 0.239 0.750 1
Cu1 0.655 0.345 0.250 1
Cu2 0.582 0.418 0.533 1
Cu3 0.418 0.582 0.033 1
Cu4 0.345 0.655 0.750 1
Cu5 0.582 0.418 0.967 1
Cu6 0.418 0.582 0.467 1
Cs1 0.939 0.061 0.250 1
Cs2 0.061 0.939 0.750 1
Lu1 0.807 0.193 0.592 1
Lu2 0.193 0.807 0.092 1
Lu3 0.807 0.193 0.908 1
Lu4 0.193 0.807 0.408 1

Entry 13:
# GGA-PBE PtSN4O4, relaxed
# * SG: I4_1/amd
data_PtSN4O4
_cell_length_a 7.085
_cell_length_b 7.085
_cell_length_c 8.885
_cell_angle_alpha 113.50
_cell_angle_beta 113.50
_cell_angle_gamma 90.00
_symmetry_space_group_name_H-M 'P 1'
_symmetry_Int_Tables_number 1
_symmetry_space_group_name_Hall 'P 1'
loop_
_atom_site_label
_atom_site_fract_x
_atom_site_fract_y
_atom_site_fract_z
_atom_site_occupancy
S1 0.500 0.500 0.000 1
S2 0.750 0.250 0.500 1
N1 0.436 0.936 0.500 1
N2 0.436 0.564 0.500 1
N3 0.814 0.186 0.000 1
N4 0.814 0.814 0.000 1
N5 0.186 0.814 0.000 1
N6 0.186 0.186 0.000 1
N7 0.064 0.564 0.500 1
N8 0.064 0.936 0.500 1
O1 0.858 0.189 0.378 1
O2 0.439 0.270 0.878 1
O3 0.439 0.608 0.878 1
O4 0.730 0.561 0.122 1
O5 0.811 0.480 0.622 1
O6 0.520 0.189 0.378 1
O7 0.811 0.142 0.622 1
O8 0.392 0.561 0.122 1
Pt1 0.000 0.000 0.000 1
Pt2 0.250 0.750 0.500 1

Entry 14:
# GGA-PBE Si4P4Os, relaxed
# * SG: P1
data_Si4P4Os
_cell_length_a 4.982
_cell_length_b 5.659
_cell_length_c 6.218
_cell_angle_alpha 85.72
_cell_angle_beta 68.33
_cell_angle_gamma 70.89
_symmetry_space_group_name_H-M 'P 1'
_symmetry_Int_Tables_number 1
_symmetry_space_group_name_Hall 'P 1'
loop_
_atom_site_label
_atom_site_fract_x
_atom_site_fract_y
_atom_site_fract_z
_atom_site_occupancy
Si1 0.514 0.620 0.184 1
Si2 0.390 0.371 0.736 1
Si3 0.996 0.000 0.992 1
Si4 0.822 0.802 0.531 1
P1 0.313 0.041 0.622 1
P2 0.774 0.437 0.426 1
P3 0.920 0.667 0.867 1
P4 0.493 0.253 0.062 1
Os1 0.152 0.026 0.303 1

Entry 15:
# GGA-PBE CeGaO3, relaxed
# * SG: Pm-3m
data_CeGaO3
_cell_length_a 4.413
_cell_length_b 4.413
_cell_length_c 4.413
_cell_angle_alpha 90.00
_cell_angle_beta 90.00
_cell_angle_gamma 90.00
_symmetry_space_group_name_H-M 'P 1'
_symmetry_Int_Tables_number 1
_symmetry_space_group_name_Hall 'P 1'
loop_
_atom_site_label
_atom_site_fract_x
_atom_site_fract_y
_atom_site_fract_z
_atom_site_occupancy
O1 0.500 0.000 0.500 1
O2 0.500 0.500 0.000 1
O3 0.000 0.500 0.500 1
Ce1 0.500 0.500 0.500 1
Ga1 0.000 0.000 0.000 1

no.,energy relative to the elements (kJ/mol of formula units)
1,-188.0
2,-1921.8
3,-2313.7
4,-623.4
5,102.6
6,17.8
7,-104.5
8,-4196.5
9,-951.5
10,-3358.6
11,-69.7
12,-1380.2
13,1078.4
14,-281.6
15,-1080.8